No. 1
128
Lattice="8.272 0.000 0.000 -4.032 12.306 0.000 -0.083 -0.320 37.171" Properties=species:S:1:pos:R:3 comment="Bi11Se12Cl9 (PBE-GGA, relaxed)" spacegroup="P-1 (2)" m_tot_mub_per_atom=0.000 total_energy_ha_per_atom=-0.138 pbc="T T T"
Bi -0.013 0.065 11.131
Bi -2.077 7.135 32.760
Bi -2.046 7.422 8.168
Bi 0.072 1.296 3.334
Bi -2.059 8.430 36.683
Bi -1.968 8.644 22.278
Bi -0.035 3.153 33.430
Bi -0.021 3.519 18.764
Bi -2.022 10.852 15.209
Bi 0.037 4.719 10.437
Bi -1.997 12.098 7.487
Bi 1.986 -0.015 29.611
Bi 0.032 7.284 14.210
Bi -0.009 7.239 26.760
Bi 2.052 1.145 21.961
Bi 0.044 8.445 18.328
Bi 0.077 8.830 3.741
Bi 2.135 3.341 14.896
Bi 2.011 3.584 36.935
Bi 2.054 4.608 29.029
Bi 0.056 10.680 33.837
Bi 0.058 11.845 26.156
Bi 4.099 0.141 11.016
Bi 4.101 1.306 3.334
Bi 2.103 7.378 8.142
Bi 2.146 8.403 0.236
Bi 2.022 8.645 22.275
Bi 4.080 3.157 33.430
Bi 4.113 3.541 18.843
Bi 2.105 10.841 15.211
Bi 4.166 4.747 10.411
Bi 4.125 4.703 22.961
Bi 2.171 12.001 7.560
Bi 6.154 -0.112 29.685
Bi 4.120 7.267 26.735
Bi 6.179 1.135 21.962
Bi 4.178 8.467 18.407
Bi 4.193 8.833 3.741
Bi 6.125 3.342 14.893
Bi 6.216 3.556 0.489
Bi 4.085 10.690 33.837
Bi 6.203 4.564 29.003
Bi 6.234 4.852 4.412
Bi 4.170 11.921 26.040
Se -2.001 7.137 2.785
Se -0.022 0.958 20.069
Se -0.031 1.370 8.583
Se -2.068 7.329 28.706
Se -2.027 8.182 15.791
Se -0.081 1.982 35.940
Se -2.070 9.858 19.761
Se -0.008 3.971 2.775
Se -1.984 10.782 10.002
Se 0.005 4.484 27.050
Se -0.007 4.984 15.833
Se -2.064 11.041 35.722
Se 0.027 7.018 21.335
Se 2.084 1.217 1.431
Se 0.038 7.476 10.105
Se 2.005 1.233 27.123
Se -0.024 8.006 34.401
Se 2.021 2.133 17.412
Se 0.044 10.013 1.232
Se 2.042 3.814 21.382
Se 0.034 10.585 28.621
Se 2.117 4.624 8.464
Se 2.020 4.829 34.335
Se 0.046 11.110 17.133
Se 4.111 0.876 20.038
Se 2.137 7.157 2.836
Se 2.040 7.362 28.707
Se 4.123 1.401 8.550
Se 2.115 8.172 15.789
Se 4.113 1.973 35.939
Se 2.136 9.854 19.759
Se 4.181 3.980 2.770
Se 2.152 10.754 10.048
Se 4.119 4.510 27.066
Se 2.073 10.770 35.740
Se 4.130 4.968 15.836
Se 6.221 0.945 1.449
Se 4.164 7.002 21.338
Se 4.152 7.502 10.121
Se 6.141 1.204 27.169
Se 4.165 8.016 34.396
Se 6.227 2.129 17.411
Se 4.238 10.005 1.232
Se 6.184 3.804 21.380
Se 6.225 4.657 8.465
Se 4.188 10.616 28.588
Se 4.179 11.029 17.103
Se 6.159 4.849 34.386
Cl -2.057 5.993 18.586
Cl -2.148 6.431 24.726
Cl 0.009 1.123 14.322
Cl -0.033 1.824 24.100
Cl -0.065 2.052 30.018
Cl -2.001 9.772 25.748
Cl -2.052 9.930 31.669
Cl -2.011 10.944 4.284
Cl -0.023 5.382 31.019
Cl 0.010 5.837 37.170
Cl 0.019 6.588 6.153
Cl 2.031 1.064 32.894
Cl 2.085 1.984 5.487
Cl 2.047 2.207 11.436
Cl 0.106 9.921 7.161
Cl 0.048 10.060 13.092
Cl 0.019 10.787 22.833
Cl 2.029 5.550 12.434
Cl 2.079 5.993 18.586
Cl 2.128 6.436 24.737
Cl 4.139 1.199 14.338
Cl 4.109 1.926 24.079
Cl 4.051 2.065 30.010
Cl 2.110 9.779 25.735
Cl 2.072 10.002 31.685
Cl 2.126 10.922 4.277
Cl 4.138 5.399 31.018
Cl 4.147 6.150 0.001
Cl 4.181 6.604 6.152
Cl 6.168 1.042 32.887
Cl 6.209 2.056 5.502
Cl 6.158 2.214 11.424
Cl 4.222 9.935 7.153
Cl 4.190 10.163 13.071
Cl 4.148 10.863 22.849
Cl 6.305 5.556 12.445

No. 2
12
Lattice="9.335 0.000 0.000 0.000 4.192 0.000 0.000 0.000 9.362" Properties=species:S:1:pos:R:3 comment="BiSeCl (PBE-GGA, relaxed)" spacegroup="Pnma (62)" total_energy_ha_per_atom=-0.137 pbc="T T T"
Bi 1.595 1.048 0.741
Bi 3.073 3.144 5.421
Bi 6.263 1.048 3.940
Bi 7.740 3.144 8.621
Se 0.179 1.048 7.742
Se 4.489 3.144 3.061
Se 4.847 1.048 6.300
Se 9.156 3.144 1.619
Cl 1.591 1.048 4.040
Cl 3.077 3.144 8.720
Cl 6.259 1.048 0.641
Cl 7.745 3.144 5.322

No. 3
44
Lattice="10.975 0.000 0.000 0.000 10.975 0.000 0.000 0.000 10.521" Properties=species:S:1:pos:R:3 comment="Bi2Se2Cl7 (PBE-GGA, relaxed)" spacegroup="P4/n (85)" m_tot_mub_per_atom=0.000 total_energy_ha_per_atom=-0.119 pbc="T T T"
Bi 0.187 7.029 1.582
Bi 1.541 10.788 8.938
Bi 3.946 5.675 8.938
Bi 5.300 9.434 1.582
Bi 5.675 1.541 8.938
Bi 7.029 5.300 1.582
Bi 9.434 0.187 1.582
Bi 10.788 3.946 8.938
Se 1.336 3.614 4.127
Se 1.873 1.336 4.127
Se 3.614 4.152 4.127
Se 4.152 1.873 4.127
Se 6.824 9.102 6.394
Se 7.361 6.824 6.394
Se 9.102 9.639 6.394
Se 9.639 7.361 6.394
Cl 0.186 9.640 2.876
Cl 0.568 1.511 0.629
Cl 1.147 9.326 6.791
Cl 1.336 5.674 7.644
Cl 1.511 4.920 0.629
Cl 1.650 6.634 3.730
Cl 2.744 2.744 8.712
Cl 2.744 8.231 0.000
Cl 3.838 9.829 3.730
Cl 3.976 0.568 0.629
Cl 4.152 10.789 7.644
Cl 4.341 7.137 6.791
Cl 4.920 3.976 0.629
Cl 5.301 6.823 2.876
Cl 5.674 4.152 7.644
Cl 6.056 6.999 9.891
Cl 6.634 3.838 3.730
Cl 6.823 0.186 2.876
Cl 6.999 10.407 9.891
Cl 7.137 1.147 6.791
Cl 8.231 2.744 0.000
Cl 8.231 8.231 1.809
Cl 9.326 4.341 6.791
Cl 9.464 6.056 9.891
Cl 9.640 5.301 2.876
Cl 9.829 1.650 3.730
Cl 10.407 9.464 9.891
Cl 10.789 1.336 7.644

No. 4
30
Lattice="7.014 0.000 0.000 -1.609 9.861 0.000 -1.286 -1.407 15.096" Properties=species:S:1:pos:R:3 comment="Bi3Te2Cl10 (PBE-GGA, relaxed)" spacegroup="P-1 (2)" de_polymorph_kj_per_mol_fu=47.7 m_tot_mub_per_atom=0.000 pbc="T T T"
Bi -0.765 4.192 4.054
Bi -0.541 -1.087 12.694
Bi 2.375 2.862 0.534
Bi 1.744 5.591 14.562
Bi 4.661 9.541 2.402
Bi 4.884 4.261 11.041
Te 1.437 -0.069 8.721
Te 1.002 7.390 8.244
Te 3.117 1.063 6.852
Te 2.682 8.522 6.374
Cl -1.443 8.831 4.720
Cl -1.077 1.323 13.526
Cl -1.197 6.532 10.338
Cl -0.406 3.049 9.699
Cl -0.663 5.568 13.593
Cl 1.772 0.136 0.292
Cl 1.227 2.218 2.843
Cl 0.943 4.216 5.892
Cl 1.816 5.295 1.508
Cl 1.802 -0.327 12.103
Cl 2.317 8.781 2.993
Cl 2.303 3.159 13.588
Cl 3.176 4.237 9.203
Cl 2.892 6.236 12.252
Cl 2.347 8.318 14.804
Cl 4.783 2.885 1.503
Cl 4.525 5.404 5.397
Cl 5.317 1.922 4.757
Cl 5.196 7.130 1.570
Cl 5.563 -0.378 10.375

No. 5
30
Lattice="7.272 0.000 0.000 -3.225 10.629 0.000 -0.378 -5.178 14.628" Properties=species:S:1:pos:R:3 comment="Bi3Te2Cl10 (PBE-GGA, relaxed)" spacegroup="P-1 (2)" de_polymorph_kj_per_mol_fu=6.3 pbc="T T T"
Bi 0.502 -0.938 3.546
Bi -0.025 5.819 7.689
Bi 1.223 3.531 4.725
Bi 2.446 1.920 9.903
Bi 3.694 -0.368 6.940
Bi 3.168 6.389 11.083
Te -0.750 3.594 0.146
Te -0.272 6.083 1.168
Te 3.941 -0.632 13.460
Te 4.419 1.857 14.483
Cl -2.444 6.150 8.670
Cl -0.234 1.463 3.002
Cl -0.933 4.837 4.478
Cl 1.000 -3.193 12.380
Cl -1.152 9.423 1.491
Cl 0.037 3.040 7.191
Cl -0.763 8.119 5.865
Cl 1.392 -0.167 8.709
Cl 1.633 1.028 12.289
Cl 0.828 4.765 9.984
Cl 2.841 0.686 4.645
Cl 2.036 4.423 2.340
Cl 2.277 5.618 5.920
Cl 4.432 -2.668 8.764
Cl 3.632 2.411 7.437
Cl 4.821 -3.971 13.138
Cl 2.670 8.644 2.248
Cl 4.602 0.614 10.150
Cl 3.903 3.989 11.626
Cl 6.113 -0.699 5.959

No. 6
30
Lattice="7.496 0.000 0.000 0.297 8.961 0.000 1.697 0.493 14.131" Properties=species:S:1:pos:R:3 comment="Bi3Te2Cl10 (PBE-GGA, relaxed)" spacegroup="P-1 (2)" de_polymorph_kj_per_mol_fu=0.0 pbc="T T T"
Bi 0.862 0.312 2.371
Bi 2.180 4.681 10.463
Bi 4.908 7.047 13.686
Bi 4.582 2.407 0.444
Bi 7.310 4.772 3.668
Bi 8.628 9.142 11.760
Te 3.459 8.032 6.565
Te 3.781 1.654 6.022
Te 5.709 7.800 8.109
Te 6.031 1.422 7.565
Cl 0.908 0.958 4.967
Cl 0.993 6.086 0.739
Cl 1.815 5.013 5.133
Cl 2.732 2.188 10.367
Cl 2.029 2.655 2.211
Cl 3.613 0.775 13.855
Cl 3.680 7.424 11.341
Cl 3.725 5.069 8.473
Cl 3.296 7.996 2.819
Cl 4.766 4.531 12.692
Cl 4.723 4.922 1.439
Cl 6.194 1.457 11.312
Cl 5.765 4.385 5.658
Cl 5.809 2.030 2.789
Cl 5.877 8.679 0.276
Cl 7.461 6.799 11.920
Cl 6.758 7.266 3.764
Cl 7.675 4.441 8.998
Cl 8.496 3.368 13.392
Cl 8.582 8.495 9.164

No. 7
20
Lattice="9.095 0.000 0.000 0.000 9.095 0.000 0.000 0.000 7.689" Properties=species:S:1:pos:R:3 comment="Tl3BiCl6 (PBE-GGA, relaxed)" spacegroup="P4_2/m (84)" total_energy_ha_per_atom=-0.119 pbc="T T T"
Tl 0.000 0.000 0.000
Tl 0.000 0.000 3.844
Tl 2.155 3.784 0.000
Tl 3.784 6.940 3.844
Tl 5.311 2.155 3.844
Tl 6.940 5.311 0.000
Bi 0.000 4.547 3.844
Bi 4.547 0.000 0.000
Cl 0.575 6.388 1.917
Cl 0.575 6.388 5.772
Cl 2.665 3.970 3.844
Cl 2.707 0.575 1.928
Cl 2.707 0.575 5.761
Cl 3.970 6.429 0.000
Cl 5.125 2.665 0.000
Cl 6.388 8.520 1.928
Cl 6.388 8.520 5.761
Cl 6.429 5.125 3.844
Cl 8.520 2.707 1.917
Cl 8.520 2.707 5.772

No. 8
16
Lattice="-3.829 3.829 6.722 3.829 -3.829 6.722 3.829 3.829 -6.722" Properties=species:S:1:pos:R:3 comment="Dy5Co2Bi (PBE-GGA, relaxed)" spacegroup="I4/mcm (140)" m_tot_mub_per_atom=0.000 total_energy_ha_per_atom=-0.202 pbc="T T T"
Dy 0.000 0.000 0.000
Dy 5.038 1.209 -1.727
Dy 1.209 2.620 -1.727
Dy 5.038 1.209 1.727
Dy 1.209 2.620 1.727
Dy 0.000 0.000 6.722
Dy 2.620 1.209 4.995
Dy -1.209 2.620 4.995
Dy 2.620 1.209 8.449
Dy -1.209 2.620 8.449
Co 2.796 1.033 0.000
Co 2.796 -1.033 6.722
Co 1.033 4.862 0.000
Co 1.033 2.796 6.722
Bi 0.000 0.000 3.361
Bi 0.000 0.000 10.084

No. 9
32
Lattice="12.370 0.000 0.000 0.000 8.857 0.000 0.000 0.000 7.986" Properties=species:S:1:pos:R:3 comment="Dy5CoBi2 (PBE-GGA, relaxed)" spacegroup="Pnma (62)" total_energy_ha_per_atom=-0.194 pbc="T T T"
Dy 0.031 2.214 0.378
Dy 0.791 4.736 2.594
Dy 0.791 8.549 2.594
Dy 2.343 2.214 4.973
Dy 2.468 6.643 5.229
Dy 3.717 2.214 1.236
Dy 3.842 6.643 0.980
Dy 5.394 0.308 6.587
Dy 5.394 4.121 6.587
Dy 6.153 6.643 4.371
Dy 6.216 2.214 3.615
Dy 6.976 4.736 1.399
Dy 6.976 8.549 1.399
Dy 8.528 2.214 7.006
Dy 8.653 6.643 6.750
Dy 9.902 2.214 2.757
Dy 10.027 6.643 3.013
Dy 11.579 0.308 5.392
Dy 11.579 4.121 5.392
Dy 12.338 6.643 7.608
Co 0.103 2.214 3.502
Co 6.082 6.643 7.495
Co 6.288 2.214 0.491
Co 12.267 6.643 4.485
Bi 2.151 0.066 7.439
Bi 2.151 4.362 7.439
Bi 4.034 4.495 3.446
Bi 4.034 8.791 3.446
Bi 8.335 0.066 4.540
Bi 8.335 4.362 4.540
Bi 10.219 4.495 0.547
Bi 10.219 8.791 0.547

No. 10
18
Lattice="-4.667 4.670 4.903 4.667 -4.670 4.903 4.667 4.670 -4.903" Properties=species:S:1:pos:R:3 comment="Er12Co5Bi (PBE-GGA, relaxed)" spacegroup="Immm (71)" total_energy_ha_per_atom=-0.204 pbc="T T T"
Er 4.667 -2.873 3.057
Er 2.828 0.000 2.074
Er 6.505 0.000 2.074
Er 2.965 2.654 0.000
Er 6.368 2.654 0.000
Er 0.000 1.797 1.846
Er 4.667 2.873 3.057
Er -1.702 2.015 4.903
Er 1.702 2.015 4.903
Er -1.839 4.670 2.829
Er 1.839 4.670 2.829
Er 0.000 7.543 1.846
Co 1.161 0.000 0.000
Co 4.667 0.000 0.000
Co 8.172 0.000 0.000
Co 0.000 0.000 3.805
Co 0.000 0.000 6.002
Bi 0.000 4.670 0.000